1.
Here is an optimized crystal structure of Na6Mg3ZrP4S2O24 from Materials Project. Energies are from PBE.

Values from the calculation:
Crystal system: triclinic

```
Na6Mg3ZrP4S2O24
1.0
-2.533 8.601 -0.919
-2.499 -4.679 7.271
18.422 6.575 10.572
Na Mg Zr P S O
18 9 3 12 6 72
direct
0.364 0.365 0.254
0.638 0.636 0.744
0.996 0.347 0.748
0.298 0.342 0.585
0.027 0.692 0.579
0.675 0.963 0.581
0.291 0.965 0.080
0.663 0.691 0.083
0.043 0.342 0.083
0.323 0.296 0.910
0.980 0.306 0.411
0.695 0.676 0.411
0.007 0.000 0.493
0.992 0.985 0.991
0.652 0.302 0.828
0.665 0.314 0.328
0.323 0.672 0.171
0.340 0.669 0.664
0.005 0.997 0.352
0.997 0.003 0.852
0.995 0.006 0.652
0.004 0.996 0.152
0.661 0.328 0.686
0.673 0.341 0.185
0.329 0.665 0.015
0.333 0.665 0.512
0.334 0.676 0.320
0.672 0.342 0.978
0.668 0.334 0.479
0.337 0.675 0.817
0.298 0.294 0.750
0.708 0.003 0.748
0.966 0.336 0.587
0.667 0.632 0.586
0.965 0.630 0.087
0.369 0.334 0.087
0.635 0.677 0.920
0.038 0.367 0.918
0.326 0.962 0.922
0.630 0.958 0.417
0.329 0.370 0.415
0.045 0.674 0.418
0.298 0.999 0.248
0.701 0.703 0.250
0.999 0.295 0.250
0.000 0.708 0.748
0.370 0.036 0.586
0.667 0.039 0.086
0.206 0.023 0.299
0.801 0.790 0.304
0.984 0.194 0.304
0.212 0.194 0.808
0.984 0.797 0.801
0.822 0.024 0.801
0.775 0.965 0.689
0.190 0.213 0.693
0.020 0.803 0.692
0.787 0.801 0.194
0.018 0.209 0.195
0.204 0.982 0.191
0.878 0.358 0.642
0.477 0.120 0.638
0.642 0.520 0.642
0.878 0.510 0.140
0.641 0.123 0.139
0.481 0.357 0.142
0.460 0.308 0.030
0.850 0.539 0.030
0.693 0.147 0.032
0.452 0.143 0.531
0.684 0.536 0.529
0.850 0.311 0.530
0.547 0.690 0.977
0.144 0.456 0.974
0.316 0.866 0.980
0.553 0.860 0.477
0.306 0.452 0.473
0.137 0.692 0.478
0.126 0.633 0.365
0.519 0.872 0.363
0.365 0.484 0.359
0.124 0.478 0.861
0.349 0.868 0.866
0.516 0.646 0.863
0.007 0.822 0.410
0.814 0.984 0.411
0.169 0.191 0.409
0.024 0.191 0.913
0.173 0.989 0.914
0.813 0.826 0.911
0.985 0.173 0.587
0.197 0.018 0.590
0.835 0.808 0.587
0.974 0.807 0.090
0.822 0.022 0.091
0.188 0.172 0.089
0.691 0.166 0.744
0.485 0.330 0.746
0.845 0.533 0.746
0.680 0.526 0.248
0.845 0.313 0.246
0.471 0.160 0.246
0.636 0.501 0.921
0.856 0.348 0.921
0.492 0.146 0.922
0.658 0.147 0.422
0.495 0.354 0.422
0.857 0.505 0.422
0.354 0.498 0.080
0.147 0.654 0.080
0.513 0.866 0.080
0.353 0.864 0.580
0.507 0.653 0.580
0.145 0.499 0.580
0.317 0.846 0.255
0.525 0.680 0.252
0.159 0.467 0.252
0.313 0.480 0.754
0.153 0.682 0.752
0.523 0.838 0.755
```



2.
Here is an optimized crystal structure of Na3Mg3ZrPS5O24 from Materials Project. Energies are from PBE.

Values from the calculation:
Crystal system: triclinic

```
Na3Mg3ZrPS5O24
1.0
8.822 -0.014 0.001
-4.423 7.609 -0.008
0.001 -0.022 22.906
Na Mg Zr P S O
9 9 3 3 15 72
direct
0.363 0.363 0.251
0.026 0.698 0.585
0.300 0.966 0.080
0.991 0.002 0.501
0.999 0.008 0.992
0.666 0.328 0.827
0.678 0.331 0.331
0.333 0.666 0.168
0.353 0.664 0.663
0.995 0.997 0.351
0.007 0.008 0.852
0.992 0.001 0.650
0.991 0.998 0.152
0.661 0.336 0.685
0.677 0.336 0.185
0.329 0.660 0.014
0.348 0.667 0.518
0.334 0.675 0.317
0.671 0.331 0.977
0.666 0.339 0.482
0.327 0.668 0.814
0.665 0.631 0.587
0.046 0.368 0.918
0.322 0.954 0.920
0.292 0.999 0.249
0.706 0.706 0.250
0.000 0.292 0.251
0.292 0.287 0.749
0.994 0.708 0.749
0.713 0.006 0.750
0.961 0.333 0.585
0.372 0.038 0.585
0.962 0.629 0.086
0.668 0.038 0.085
0.373 0.336 0.086
0.628 0.674 0.918
0.626 0.955 0.416
0.326 0.372 0.415
0.048 0.673 0.417
0.208 0.029 0.300
0.813 0.788 0.303
0.975 0.185 0.303
0.210 0.185 0.802
0.976 0.793 0.801
0.814 0.025 0.803
0.789 0.976 0.697
0.185 0.209 0.696
0.024 0.811 0.695
0.786 0.811 0.197
0.031 0.213 0.198
0.190 0.974 0.194
0.878 0.361 0.636
0.482 0.120 0.636
0.643 0.515 0.639
0.876 0.520 0.137
0.637 0.123 0.136
0.478 0.358 0.139
0.460 0.307 0.034
0.854 0.545 0.032
0.692 0.147 0.032
0.457 0.146 0.531
0.694 0.538 0.530
0.850 0.305 0.531
0.546 0.695 0.970
0.153 0.454 0.973
0.308 0.856 0.977
0.544 0.853 0.469
0.307 0.457 0.467
0.144 0.691 0.471
0.128 0.644 0.365
0.520 0.878 0.363
0.358 0.477 0.361
0.130 0.486 0.863
0.359 0.869 0.866
0.518 0.640 0.865
0.023 0.826 0.410
0.804 0.978 0.410
0.172 0.194 0.409
0.015 0.184 0.910
0.163 0.974 0.911
0.803 0.826 0.910
0.981 0.178 0.589
0.196 0.021 0.589
0.839 0.810 0.589
0.983 0.808 0.090
0.825 0.023 0.091
0.198 0.171 0.090
0.689 0.160 0.743
0.469 0.309 0.744
0.841 0.528 0.744
0.681 0.525 0.244
0.844 0.313 0.243
0.469 0.163 0.243
0.642 0.510 0.923
0.862 0.359 0.923
0.494 0.142 0.924
0.646 0.136 0.422
0.489 0.354 0.422
0.866 0.508 0.421
0.356 0.493 0.078
0.140 0.651 0.080
0.506 0.863 0.078
0.346 0.859 0.577
0.503 0.648 0.577
0.133 0.497 0.576
0.312 0.843 0.256
0.525 0.681 0.256
0.163 0.470 0.257
0.314 0.469 0.755
0.157 0.691 0.754
0.532 0.842 0.755
```



3.
Here is an optimized crystal structure of Na5Mg2Zr2P5SO24 from Materials Project. Energies are from PBE.

Values from the calculation:
Crystal system: triclinic

```
Na5Mg2Zr2P5SO24
1.0
-6.113 -0.234 -6.581
3.925 -7.608 2.794
-16.467 -2.772 15.374
Na Mg Zr P S O
15 6 6 15 3 72
direct
0.641 0.000 0.254
0.369 0.376 0.246
0.992 0.621 0.253
0.642 0.630 0.745
0.986 0.355 0.747
0.371 0.015 0.747
0.304 0.964 0.073
0.040 0.348 0.075
0.710 0.680 0.416
0.006 0.004 0.497
0.000 0.998 0.986
0.667 0.328 0.831
0.682 0.328 0.334
0.347 0.661 0.160
0.335 0.665 0.662
0.992 0.000 0.352
0.008 0.008 0.852
0.668 0.335 0.682
0.671 0.340 0.180
0.333 0.666 0.016
0.328 0.665 0.319
0.998 0.998 0.646
0.988 0.996 0.147
0.668 0.333 0.980
0.673 0.327 0.483
0.331 0.675 0.520
0.327 0.668 0.819
0.701 0.699 0.254
0.000 0.295 0.252
0.295 0.293 0.752
0.996 0.707 0.753
0.709 0.002 0.753
0.963 0.334 0.587
0.375 0.044 0.587
0.664 0.624 0.584
0.965 0.627 0.086
0.659 0.037 0.086
0.375 0.338 0.087
0.038 0.364 0.920
0.325 0.962 0.920
0.628 0.960 0.412
0.038 0.672 0.412
0.294 0.001 0.251
0.631 0.672 0.918
0.330 0.370 0.414
0.207 0.025 0.302
0.814 0.781 0.309
0.976 0.176 0.303
0.212 0.180 0.804
0.968 0.792 0.805
0.822 0.028 0.805
0.790 0.968 0.696
0.178 0.211 0.696
0.032 0.822 0.697
0.797 0.820 0.200
0.026 0.211 0.194
0.190 0.977 0.196
0.887 0.357 0.644
0.474 0.120 0.643
0.643 0.524 0.640
0.886 0.524 0.142
0.636 0.117 0.143
0.472 0.355 0.144
0.465 0.307 0.034
0.848 0.537 0.032
0.692 0.160 0.033
0.469 0.154 0.532
0.683 0.535 0.528
0.850 0.314 0.532
0.540 0.686 0.969
0.142 0.454 0.975
0.316 0.860 0.975
0.529 0.841 0.465
0.312 0.458 0.467
0.150 0.681 0.467
0.112 0.643 0.356
0.526 0.882 0.355
0.359 0.475 0.361
0.129 0.477 0.863
0.353 0.874 0.863
0.527 0.647 0.862
0.017 0.831 0.412
0.806 0.974 0.413
0.181 0.198 0.410
0.014 0.186 0.913
0.166 0.977 0.913
0.801 0.822 0.912
0.980 0.171 0.588
0.193 0.023 0.587
0.827 0.806 0.587
0.990 0.812 0.090
0.830 0.029 0.089
0.192 0.167 0.090
0.682 0.157 0.745
0.479 0.320 0.744
0.841 0.524 0.744
0.680 0.519 0.246
0.836 0.311 0.246
0.468 0.155 0.246
0.643 0.512 0.921
0.858 0.356 0.922
0.493 0.144 0.922
0.645 0.140 0.421
0.493 0.361 0.421
0.851 0.510 0.421
0.343 0.488 0.079
0.146 0.649 0.078
0.502 0.860 0.077
0.354 0.861 0.578
0.503 0.645 0.576
0.144 0.494 0.577
0.310 0.845 0.255
0.523 0.687 0.256
0.163 0.476 0.255
0.314 0.476 0.757
0.163 0.690 0.756
0.525 0.835 0.757
```



Number 1: M_tot 0.00 Bohr magnetons per cell, calculated total energy -785.0 eV for the cell shown. Number 2: M_tot 0.00 Bohr magnetons per cell, calculated total energy -711.7 eV for the cell shown. Number 3: M_tot 0.00 Bohr magnetons per cell, calculated total energy -815.8 eV for the cell shown.